# CeGdN2

Crystalline CeGdN2 at its relaxed geometry (GGA-PBE, the Materials Project database).

POSCAR file:
```
CeGdN2
1.0
3.5525 0.0000 0.0000
0.0000 3.5525 0.0000
0.0000 0.0000 4.9884
Ce Gd N
1 1 2
direct
0.0000 0.0000 0.0000
0.5000 0.5000 0.5000
0.0000 0.0000 0.5000
0.5000 0.5000 0.0000
```

Output
The total energy comes out at -10.70 eV/atom. The space group is P4/mmm (123). Its energy of formation from the pure elements is -6.83 eV/f.u.


# LiH6C3BrN2

Crystalline LiH6C3BrN2 at its relaxed geometry (GGA-PBE, the Materials Project database).

POSCAR file:
```
LiH6C3BrN2
1.0
4.5203 0.0000 0.0000
0.0000 17.5390 0.0000
-1.8097 0.0000 9.3370
Li H C Br N
4 24 12 4 8
direct
0.2312 0.0626 0.4411
0.2312 0.4374 0.9411
0.7688 0.5626 0.0589
0.7688 0.9374 0.5589
0.0908 0.6066 0.4408
0.0908 0.8934 0.9408
0.0987 0.6377 0.7894
0.0987 0.8623 0.2894
0.1984 0.0845 0.9603
0.1984 0.4155 0.4603
0.2671 0.1519 0.1040
0.2671 0.3481 0.6040
0.2991 0.7250 0.7763
0.2991 0.7750 0.2763
0.4055 0.6396 0.6961
0.4055 0.8604 0.1961
0.5945 0.1396 0.8039
0.5945 0.3604 0.3039
0.7009 0.2250 0.7237
0.7009 0.2750 0.2237
0.7329 0.6519 0.3960
0.7329 0.8481 0.8960
0.8016 0.5845 0.5397
0.8016 0.9155 0.0397
0.9013 0.1377 0.7106
0.9013 0.3623 0.2106
0.9092 0.1066 0.0592
0.9092 0.3934 0.5592
0.0979 0.1302 0.0152
0.0979 0.3698 0.5152
0.1046 0.2394 0.4320
0.1046 0.2606 0.9320
0.2148 0.6725 0.7203
0.2148 0.8275 0.2203
0.7852 0.1725 0.7797
0.7852 0.3275 0.2797
0.8954 0.7394 0.0680
0.8954 0.7606 0.5681
0.9021 0.6302 0.4848
0.9021 0.8698 0.9848
0.3179 0.5161 0.1710
0.3179 0.9839 0.6710
0.6821 0.0161 0.3290
0.6821 0.4839 0.8290
0.0095 0.6919 0.5860
0.0095 0.8081 0.0860
0.2009 0.1770 0.4462
0.2009 0.3230 0.9462
0.7991 0.6770 0.0538
0.7991 0.8230 0.5538
0.9905 0.1919 0.9140
0.9905 0.3081 0.4140
```

Output
The total energy comes out at -5.52 eV/atom. The space group is P2_1/c (14). Its energy of formation from the pure elements is -4.19 eV/f.u.


# GaFe7N2

Crystalline GaFe7N2 at its relaxed geometry (GGA-PBE, the Materials Project database).

POSCAR file:
```
GaFe7N2
1.0
0.0000 3.6982 3.6982
3.6982 0.0000 3.6982
3.6982 3.6982 0.0000
Ga Fe N
1 7 2
direct
0.0000 0.0000 0.0000
0.0000 0.0000 0.5000
0.0000 0.5000 0.0000
0.0000 0.5000 0.5000
0.5000 0.0000 0.0000
0.5000 0.0000 0.5000
0.5000 0.5000 0.0000
0.5000 0.5000 0.5000
0.2500 0.2500 0.2500
0.7500 0.7500 0.7500
```

Output
The total energy comes out at -7.96 eV/atom. The space group is Fm-3m (225). Its energy of formation from the pure elements is -1.38 eV/f.u.


# NpP3

Crystalline NpP3 at its relaxed geometry (GGA-PBE, the Materials Project database).

POSCAR file:
```
NpP3
1.0
5.4057 0.0000 0.0000
-2.7028 4.6814 0.0000
0.0000 0.0000 5.2559
Np P
2 6
direct
0.3333 0.6667 0.2500
0.6667 0.3333 0.7500
0.1856 0.3712 0.7500
0.1856 0.8144 0.7500
0.3712 0.1856 0.2500
0.6288 0.8144 0.7500
0.8144 0.1856 0.2500
0.8144 0.6288 0.2500
```

Output
The total energy comes out at -7.74 eV/atom. The space group is P6_3/mmc (194). Its energy of formation from the pure elements is -1.77 eV/f.u.


# SiO2

Crystalline SiO2 at its relaxed geometry (GGA-PBE, the Materials Project database).

POSCAR file:
```
SiO2
1.0
15.2221 -4.2676 0.0000
15.2221 4.2676 0.0000
-3.4304 0.0000 12.1249
Si O
28 56
direct
0.0183 0.3896 0.5262
0.0439 0.6739 0.1078
0.1054 0.4758 0.2374
0.1261 0.4910 0.8743
0.1402 0.7662 0.8406
0.1775 0.5469 0.6890
0.2338 0.8598 0.1594
0.2621 0.6350 0.0722
0.3261 0.9561 0.8922
0.3650 0.7379 0.9278
0.3896 0.0183 0.5262
0.4531 0.8225 0.3110
0.4758 0.1054 0.2374
0.4910 0.1261 0.8743
0.5090 0.8739 0.1257
0.5242 0.8946 0.7626
0.5469 0.1775 0.6890
0.6104 0.9817 0.4738
0.6350 0.2621 0.0722
0.6739 0.0439 0.1078
0.7379 0.3650 0.9278
0.7662 0.1402 0.8406
0.8225 0.4531 0.3110
0.8598 0.2338 0.1594
0.8739 0.5090 0.1257
0.8946 0.5242 0.7626
0.9561 0.3261 0.8922
0.9817 0.6104 0.4738
0.0000 0.5000 0.5000
0.0347 0.6239 0.9798
0.0393 0.4694 0.8262
0.0445 0.0445 0.1783
0.0530 0.6269 0.5791
0.0830 0.5254 0.3687
0.0983 0.5678 0.1903
0.1148 0.5537 0.7798
0.1339 0.1339 0.8646
0.1587 0.7212 0.9558
0.1781 0.6389 0.1293
0.1793 0.6511 0.7378
0.2096 0.2096 0.5545
0.2632 0.7321 0.1552
0.2679 0.7368 0.8448
0.2788 0.8413 0.0442
0.2798 0.2798 0.2162
0.3163 0.3163 0.9134
0.3489 0.8207 0.2622
0.3593 0.3593 0.6565
0.3611 0.8219 0.8707
0.3731 0.9470 0.4209
0.3761 0.9653 0.0202
0.4322 0.9017 0.8097
0.4463 0.8852 0.2202
0.4478 0.4478 0.0461
0.4694 0.0393 0.8262
0.4746 0.9170 0.6313
0.5000 0.0000 0.5000
0.5254 0.0830 0.3687
0.5306 0.9607 0.1738
0.5522 0.5522 0.9539
0.5537 0.1148 0.7798
0.5678 0.0983 0.1903
0.6239 0.0347 0.9798
0.6269 0.0530 0.5791
0.6389 0.1781 0.1293
0.6407 0.6407 0.3435
0.6511 0.1793 0.7378
0.6837 0.6837 0.0866
0.7202 0.7202 0.7838
0.7212 0.1587 0.9558
0.7321 0.2632 0.1552
0.7368 0.2679 0.8448
0.7904 0.7904 0.4455
0.8207 0.3489 0.2622
0.8219 0.3611 0.8707
0.8413 0.2788 0.0442
0.8661 0.8661 0.1354
0.8852 0.4463 0.2202
0.9017 0.4322 0.8097
0.9170 0.4746 0.6313
0.9470 0.3731 0.4209
0.9555 0.9555 0.8217
0.9607 0.5306 0.1738
0.9653 0.3761 0.0202
```

Output
The total energy comes out at -7.91 eV/atom. The space group is C2/m (12). Its energy of formation from the pure elements is -9.77 eV/f.u.


# Al11AgO17

Crystalline Al11AgO17 at its relaxed geometry (GGA-PBE, the Materials Project database).

POSCAR file:
```
Al11AgO17
1.0
2.8261 -4.8989 0.0000
2.8261 4.8989 0.0000
0.0000 0.0000 22.7922
Al Ag O
22 2 34
direct
0.0000 0.0000 0.0000
0.0000 0.0000 0.5000
0.1671 0.8329 0.6054
0.1671 0.8329 0.8946
0.1690 0.3354 0.6077
0.1690 0.3354 0.8923
0.3323 0.6677 0.1755
0.3323 0.6677 0.3245
0.3331 0.6669 0.0248
0.3331 0.6669 0.4752
0.3354 0.1690 0.1077
0.3354 0.1690 0.3923
0.6646 0.8310 0.6077
0.6646 0.8310 0.8923
0.6669 0.3331 0.5248
0.6669 0.3331 0.9752
0.6677 0.3323 0.6755
0.6677 0.3323 0.8245
0.8310 0.6646 0.1077
0.8310 0.6646 0.3923
0.8329 0.1671 0.1054
0.8329 0.1671 0.3946
0.2428 0.7572 0.7500
0.7572 0.2428 0.2500
0.0008 0.9992 0.6414
0.0008 0.9992 0.8586
0.0076 0.5059 0.6458
0.0076 0.5059 0.8542
0.1561 0.3144 0.0495
0.1561 0.3144 0.4505
0.1574 0.8426 0.0502
0.1574 0.8426 0.4498
0.3144 0.1561 0.5495
0.3144 0.1561 0.9505
0.3192 0.6808 0.2500
0.3339 0.6661 0.5555
0.3339 0.6661 0.9445
0.4941 0.9924 0.6458
0.4941 0.9924 0.8542
0.4994 0.5006 0.6454
0.4994 0.5006 0.8546
0.5006 0.4994 0.1454
0.5006 0.4994 0.3546
0.5059 0.0076 0.1458
0.5059 0.0076 0.3542
0.6661 0.3339 0.0555
0.6661 0.3339 0.4445
0.6808 0.3192 0.7500
0.6856 0.8439 0.0495
0.6856 0.8439 0.4505
0.8426 0.1574 0.5502
0.8426 0.1574 0.9498
0.8439 0.6856 0.5495
0.8439 0.6856 0.9505
0.9924 0.4941 0.1458
0.9924 0.4941 0.3542
0.9992 0.0008 0.1414
0.9992 0.0008 0.3586
```

Output
The total energy comes out at -7.26 eV/atom. The space group is Cmcm (63). Its energy of formation from the pure elements is -94.21 eV/f.u.